# 1
First-principles (PBE with a Hubbard U) data for Li2CrFeO4 after structural relaxation, as listed in Materials Project.

CIF file:
```
data_Li2CrFeO4
_cell_length_a 5.1643
_cell_length_b 5.9524
_cell_length_c 7.8709
_cell_angle_alpha 79.12
_cell_angle_beta 77.33
_cell_angle_gamma 73.34
_symmetry_space_group_name_H-M 'P -1'
_symmetry_Int_Tables_number 2
loop_
_symmetry_equiv_pos_as_xyz
'x,y,z'
'-x,-y,-z'
loop_
_atom_site_label
_atom_site_type_symbol
_atom_site_fract_x
_atom_site_fract_y
_atom_site_fract_z
Li1 Li 0.0000 0.0000 0.0000
Li2 Li 0.0000 0.5000 0.0000
Li3 Li 0.0018 0.1646 0.3335
Li4 Li 0.0019 0.3308 0.6677
Cr1 Cr 0.4992 0.1654 0.8332
Cr2 Cr 0.5000 0.0000 0.5000
Fe1 Fe 0.4995 0.3347 0.1664
Fe2 Fe 0.5000 0.5000 0.5000
O1 O 0.2705 0.4934 0.7494
O2 O 0.2709 0.3272 0.4150
O3 O 0.2734 0.1604 0.0802
O4 O 0.2725 0.6635 0.0823
O5 O 0.2744 0.9939 0.7466
O6 O 0.2750 0.8282 0.4139
```

## Properties
ΔE to the lowest computed polymorph (meV per atom): 0
Total magnetic moment (μB per formula unit): 4.00
Formation enthalpy at 0 K (eV/atom): -2.177

# 2
First-principles (PBE with a Hubbard U) data for Sr2YCr2O7 after structural relaxation, as listed in Materials Project.

CIF file:
```
data_Sr2YCr2O7
_cell_length_a 5.4007
_cell_length_b 25.1039
_cell_length_c 5.3198
_cell_angle_alpha 90.00
_cell_angle_beta 90.00
_cell_angle_gamma 90.00
_symmetry_space_group_name_H-M 'I m m a'
_symmetry_Int_Tables_number 74
_symmetry_space_group_name_Hall '-I 2b 2'
loop_
_atom_site_label
_atom_site_type_symbol
_atom_site_fract_x
_atom_site_fract_y
_atom_site_fract_z
Sr1 Sr 0.0000 0.1779 0.0484
Y1 Y 0.0000 0.0000 0.0000
Cr1 Cr 0.0000 0.0798 0.5080
O1 O 0.0000 0.1526 0.5297
O2 O 0.2500 0.0533 0.7500
O3 O 0.2500 0.0611 0.2500
O4 O 0.2500 0.2500 0.2500
```

## Properties
Total magnetic moment (μB per formula unit): 5.79
Formation enthalpy at 0 K (eV/atom): -2.707